VASP calculation (GGA+U) on a relaxed structure of LiCrPO4. Values from VASP.

calculated formation energy = -2531 meV per atom
raw total energy = -7.105 eV per atom

Structure (Quantum ESPRESSO input):
```
&SYSTEM
  ibrav = 0, nat = 28, ntyp = 4
/
ATOMIC_SPECIES
Li 6.94 Li.upf
Cr 52.00 Cr.upf
P 30.97 P.upf
O 16.00 O.upf
ATOMIC_POSITIONS crystal
Li 0.083 0.362 0.176
Li 0.091 0.834 0.205
Li 0.909 0.166 0.795
Li 0.917 0.638 0.824
Cr 0.295 0.638 0.573
Cr 0.485 0.900 0.776
Cr 0.515 0.100 0.224
Cr 0.705 0.362 0.427
P 0.208 0.184 0.514
P 0.345 0.273 0.889
P 0.655 0.727 0.111
P 0.792 0.816 0.486
O 0.037 0.759 0.426
O 0.213 0.499 0.808
O 0.229 0.087 0.865
O 0.231 0.207 0.348
O 0.292 0.941 0.605
O 0.309 0.247 0.057
O 0.365 0.335 0.539
O 0.404 0.741 0.170
O 0.596 0.259 0.830
O 0.635 0.665 0.461
O 0.691 0.753 0.943
O 0.708 0.059 0.395
O 0.769 0.793 0.652
O 0.771 0.913 0.135
O 0.787 0.501 0.192
O 0.963 0.241 0.574
CELL_PARAMETERS angstrom
5.991 0.000 0.000
0.989 6.426 0.000
1.465 3.057 9.098
```